(1)
## Na13Zr8Si9P3O48 (PBE-GGA)

Data for Na13Zr8Si9P3O48 after structural relaxation.

Calculated values
- E_form: -3.135 eV per atom
- Calculated total energy: -609.08 eV/cell

a = 9.192 Å, b = 9.196 Å, c = 16.227 Å
α = 90.21°, β = 105.99°, γ = 119.74°
Space group P1 (No. 1)
Inequivalent atoms, fractional coordinates:
Na  0.000  0.000  0.000
Na  0.003  0.502  0.501
Na  0.108  0.269  0.828
Na  0.117  0.777  0.326
Na  0.309  0.161  0.537
Na  0.318  0.689  0.047
Na  0.401  0.517  0.634
Na  0.414  0.081  0.142
Na  0.499  0.885  0.730
Na  0.699  0.262  0.930
Na  0.705  0.763  0.425
Na  0.787  0.029  0.253
Na  0.796  0.529  0.761
Zr  0.044  0.836  0.604
Zr  0.047  0.342  0.104
Zr  0.251  0.944  0.908
Zr  0.255  0.449  0.408
Zr  0.556  0.592  0.853
Zr  0.560  0.094  0.352
Zr  0.749  0.694  0.163
Zr  0.761  0.206  0.661
Si  0.156  0.606  0.750
Si  0.442  0.189  0.753
Si  0.444  0.693  0.254
Si  0.649  0.431  0.512
Si  0.652  0.932  0.012
Si  0.864  0.894  0.760
Si  0.867  0.397  0.261
Si  0.939  0.646  0.005
Si  0.942  0.144  0.503
P  0.155  0.106  0.250
P  0.362  0.349  0.009
P  0.362  0.848  0.508
O  0.026  0.969  0.854
O  0.028  0.465  0.355
O  0.125  0.808  0.999
O  0.129  0.305  0.498
O  0.132  0.167  0.162
O  0.140  0.679  0.657
O  0.165  0.733  0.825
O  0.170  0.230  0.322
O  0.186  0.333  0.009
O  0.186  0.837  0.504
O  0.280  0.058  0.667
O  0.283  0.559  0.168
O  0.318  0.086  0.274
O  0.334  0.596  0.774
O  0.339  0.669  0.508
O  0.342  0.172  0.009
O  0.397  0.417  0.925
O  0.402  0.116  0.842
O  0.404  0.617  0.342
O  0.404  0.917  0.425
O  0.458  0.879  0.255
O  0.468  0.379  0.755
O  0.469  0.441  0.490
O  0.473  0.945  0.988
O  0.514  0.970  0.590
O  0.517  0.474  0.089
O  0.625  0.195  0.755
O  0.631  0.298  0.436
O  0.636  0.720  0.257
O  0.637  0.804  0.935
O  0.664  0.358  0.604
O  0.665  0.856  0.103
O  0.676  0.734  0.764
O  0.681  0.234  0.266
O  0.779  0.571  0.910
O  0.780  0.073  0.409
O  0.821  0.617  0.517
O  0.826  0.119  0.018
O  0.833  0.049  0.732
O  0.848  0.559  0.235
O  0.882  0.714  0.077
O  0.887  0.215  0.574
O  0.916  0.818  0.689
O  0.920  0.321  0.190
O  0.970  0.985  0.526
O  0.971  0.488  0.029
O  0.984  0.419  0.744
O  0.990  0.929  0.247


(2)
## Na10Zr6Si7P2O36 (PBE-GGA)

Data for Na10Zr6Si7P2O36 after structural relaxation.

Calculated values
- E_form: -3.126 eV per atom
- Calculated total energy: -914.74 eV/cell

a = 9.244 Å, b = 9.336 Å, c = 22.757 Å
α = 89.11°, β = 89.95°, γ = 60.39°
Space group P1 (No. 1)
Inequivalent atoms, fractional coordinates:
Na  0.000  0.000  0.000
Na  0.004  0.377  0.957
Na  0.067  0.037  0.794
Na  0.096  0.551  0.590
Na  0.134  0.567  0.067
Na  0.219  0.988  0.388
Na  0.247  0.642  0.214
Na  0.315  0.787  0.644
Na  0.373  0.399  0.464
Na  0.405  0.906  0.234
Na  0.428  0.155  0.677
Na  0.564  0.290  0.040
Na  0.587  0.969  0.877
Na  0.639  0.326  0.865
Na  0.671  0.059  0.291
Na  0.705  0.725  0.120
Na  0.725  0.623  0.346
Na  0.794  0.223  0.408
Na  0.848  0.690  0.722
Na  0.905  0.320  0.559
Zr  0.251  0.256  0.305
Zr  0.254  0.267  0.807
Zr  0.313  0.142  0.542
Zr  0.315  0.147  0.048
Zr  0.588  0.603  0.476
Zr  0.590  0.591  0.976
Zr  0.644  0.487  0.712
Zr  0.654  0.470  0.210
Zr  0.921  0.934  0.141
Zr  0.922  0.926  0.639
Zr  0.976  0.817  0.382
Zr  0.982  0.806  0.876
Si  0.021  0.426  0.437
Si  0.071  0.209  0.674
Si  0.160  0.864  0.509
Si  0.211  0.637  0.744
Si  0.316  0.435  0.937
Si  0.357  0.761  0.106
Si  0.492  0.204  0.175
Si  0.546  0.980  0.411
Si  0.652  0.770  0.604
Si  0.691  0.102  0.770
Si  0.745  0.871  0.009
Si  0.830  0.535  0.844
Si  0.884  0.310  0.080
Si  0.985  0.101  0.272
P  0.258  0.972  0.914
P  0.408  0.538  0.341
P  0.585  0.308  0.578
P  0.914  0.644  0.246
O  0.009  0.981  0.217
O  0.019  0.375  0.844
O  0.041  0.914  0.450
O  0.059  0.042  0.660
O  0.063  0.296  0.068
O  0.064  0.473  0.263
O  0.085  0.818  0.566
O  0.099  0.715  0.683
O  0.105  0.951  0.902
O  0.119  0.759  0.799
O  0.121  0.370  0.500
O  0.123  0.295  0.384
O  0.148  0.613  0.926
O  0.158  0.106  0.280
O  0.171  0.242  0.619
O  0.175  0.772  0.117
O  0.177  0.175  0.735
O  0.184  0.025  0.520
O  0.209  0.089  0.968
O  0.216  0.461  0.756
O  0.236  0.691  0.354
O  0.278  0.357  0.996
O  0.297  0.045  0.859
O  0.342  0.704  0.494
O  0.343  0.940  0.091
O  0.360  0.318  0.879
O  0.380  0.253  0.115
O  0.383  0.390  0.326
O  0.393  0.617  0.733
O  0.406  0.164  0.231
O  0.416  0.809  0.930
O  0.425  0.297  0.566
O  0.444  0.045  0.347
O  0.447  0.104  0.464
O  0.450  0.634  0.053
O  0.465  0.697  0.168
O  0.481  0.452  0.949
O  0.487  0.585  0.289
O  0.493  0.956  0.591
O  0.506  0.120  0.779
O  0.517  0.363  0.191
O  0.525  0.488  0.396
O  0.554  0.421  0.630
O  0.559  0.798  0.423
O  0.562  0.034  0.020
O  0.604  0.698  0.661
O  0.625  0.375  0.520
O  0.675  0.039  0.168
O  0.679  0.281  0.758
O  0.679  0.653  0.546
O  0.721  0.709  0.003
O  0.727  0.966  0.399
O  0.734  0.557  0.781
O  0.736  0.504  0.899
O  0.739  0.136  0.590
O  0.751  0.636  0.240
O  0.774  0.375  0.019
O  0.774  0.984  0.713
O  0.794  0.428  0.137
O  0.799  0.031  0.832
O  0.823  0.285  0.262
O  0.825  0.773  0.615
O  0.829  0.911  0.952
O  0.835  0.441  0.442
O  0.839  0.705  0.852
O  0.869  0.831  0.067
O  0.883  0.367  0.673
O  0.883  0.763  0.298
O  0.896  0.128  0.092
O  0.949  0.027  0.333
O  0.956  0.703  0.188
O  0.998  0.606  0.416


- Among the records above, which one has the lowest calculated total energy?
  Na10Zr6Si7P2O36